! MgCr4S8, relaxed, DFT PBE; values from VASP
! Size of the total moment ... 0.77 μB/atom
! Excess energy over the best structure of this formula in the dataset ... 0.0230 eV/atom
&SYSTEM
  ibrav = 0, nat = 13, ntyp = 3
/
ATOMIC_SPECIES
Mg 24.30 Mg.upf
Cr 52.00 Cr.upf
S 32.06 S.upf
CELL_PARAMETERS angstrom
3.479 2.009 5.708
-3.479 2.009 5.708
0.000 -4.017 5.708
ATOMIC_POSITIONS crystal
Mg 0.000 0.000 0.000
Cr 0.000 0.500 0.500
Cr 0.500 0.000 0.500
Cr 0.500 0.500 0.000
Cr 0.500 0.500 0.500
S 0.258 0.258 0.258
S 0.258 0.258 0.728
S 0.258 0.728 0.258
S 0.272 0.742 0.742
S 0.728 0.258 0.258
S 0.742 0.272 0.742
S 0.742 0.742 0.272
S 0.742 0.742 0.742

! MgCr2S4, relaxed, DFT PBE; values from VASP
! Size of the total moment ... 0.86 μB/atom
! Excess energy over the best structure of this formula in the dataset ... 0.2798 eV/atom
&SYSTEM
  ibrav = 0, nat = 7, ntyp = 3
/
ATOMIC_SPECIES
Mg 24.30 Mg.upf
Cr 52.00 Cr.upf
S 32.06 S.upf
CELL_PARAMETERS angstrom
-2.816 2.816 5.042
2.816 -2.816 5.042
2.816 2.816 -5.042
ATOMIC_POSITIONS crystal
Mg 0.000 0.000 0.000
Cr 0.500 0.500 0.000
Cr 0.750 0.250 0.500
S 0.124 0.593 0.976
S 0.407 0.382 0.531
S 0.618 0.149 0.024
S 0.851 0.876 0.469

! MgCr4S8, relaxed, DFT PBE; values from VASP
! Size of the total moment ... 0.77 μB/atom
! Excess energy over the best structure of this formula in the dataset ... 0.0309 eV/atom
&SYSTEM
  ibrav = 0, nat = 13, ntyp = 3
/
ATOMIC_SPECIES
Mg 24.30 Mg.upf
Cr 52.00 Cr.upf
S 32.06 S.upf
CELL_PARAMETERS angstrom
3.447 1.990 5.803
-3.447 1.990 5.803
0.000 -3.981 5.803
ATOMIC_POSITIONS crystal
Mg 0.000 0.000 0.000
Cr 0.017 0.491 0.491
Cr 0.491 0.017 0.491
Cr 0.491 0.491 0.017
Cr 0.503 0.503 0.503
S 0.251 0.251 0.251
S 0.259 0.259 0.731
S 0.259 0.731 0.259
S 0.273 0.745 0.745
S 0.731 0.259 0.259
S 0.733 0.733 0.733
S 0.745 0.273 0.745
S 0.745 0.745 0.273

! MgCrS2, relaxed, DFT PBE; values from VASP
! Size of the total moment ... 1.00 μB/atom
! E_tot ... -5.66 eV/atom
&SYSTEM
  ibrav = 0, nat = 4, ntyp = 3
/
ATOMIC_SPECIES
Mg 24.30 Mg.upf
Cr 52.00 Cr.upf
S 32.06 S.upf
CELL_PARAMETERS angstrom
1.800 1.039 6.225
-1.800 1.039 6.225
0.000 -2.078 6.225
ATOMIC_POSITIONS crystal
Mg 0.000 0.000 0.000
Cr 0.167 0.167 0.167
S 0.579 0.579 0.579
S 0.756 0.756 0.756

! MgCr4S8, relaxed, DFT PBE; values from VASP
! Size of the total moment ... 0.62 μB/atom
! Excess energy over the best structure of this formula in the dataset ... 0.1772 eV/atom
&SYSTEM
  ibrav = 0, nat = 13, ntyp = 3
/
ATOMIC_SPECIES
Mg 24.30 Mg.upf
Cr 52.00 Cr.upf
S 32.06 S.upf
CELL_PARAMETERS angstrom
6.527 0.000 0.000
-0.013 6.545 0.000
-3.195 -3.137 7.050
ATOMIC_POSITIONS crystal
Mg 0.000 0.000 0.000
Cr 0.038 0.797 0.615
Cr 0.181 0.934 0.377
Cr 0.185 0.421 0.381
Cr 0.569 0.796 0.617
S 0.337 0.059 0.688
S 0.338 0.604 0.693
S 0.369 0.130 0.277
S 0.382 0.642 0.303
S 0.854 0.084 0.715
S 0.863 0.624 0.734
S 0.899 0.129 0.275
S 0.906 0.643 0.304

! MgCr2S4, relaxed, DFT PBE; values from VASP
! Size of the total moment ... 0.86 μB/atom
! Excess energy over the best structure of this formula in the dataset ... 0.3457 eV/atom
&SYSTEM
  ibrav = 0, nat = 7, ntyp = 3
/
ATOMIC_SPECIES
Mg 24.30 Mg.upf
Cr 52.00 Cr.upf
S 32.06 S.upf
CELL_PARAMETERS angstrom
5.808 0.000 0.000
-0.142 6.072 0.000
-2.830 -3.030 4.913
ATOMIC_POSITIONS crystal
Mg 0.000 0.000 0.000
Cr 0.063 0.564 0.129
Cr 0.312 0.312 0.625
S 0.187 0.637 0.874
S 0.375 0.415 0.351
S 0.685 0.237 0.876
S 0.975 0.935 0.351

! MgCr4S8, relaxed, DFT PBE; values from VASP
! Size of the total moment ... 0.62 μB/atom
! Excess energy over the best structure of this formula in the dataset ... 0.1768 eV/atom
&SYSTEM
  ibrav = 0, nat = 13, ntyp = 3
/
ATOMIC_SPECIES
Mg 24.30 Mg.upf
Cr 52.00 Cr.upf
S 32.06 S.upf
CELL_PARAMETERS angstrom
6.522 0.000 0.000
-0.014 6.550 0.000
-3.204 -3.155 7.038
ATOMIC_POSITIONS crystal
Mg 0.000 0.000 0.000
Cr 0.038 0.795 0.614
Cr 0.182 0.933 0.377
Cr 0.186 0.420 0.380
Cr 0.571 0.795 0.616
S 0.339 0.057 0.689
S 0.339 0.604 0.692
S 0.370 0.130 0.277
S 0.384 0.641 0.303
S 0.855 0.083 0.715
S 0.864 0.623 0.734
S 0.900 0.129 0.275
S 0.907 0.641 0.303

! MgCr4S10, relaxed, DFT PBE; values from VASP
! Size of the total moment ... 0.27 μB/atom
! E_tot ... -5.81 eV/atom
&SYSTEM
  ibrav = 0, nat = 15, ntyp = 3
/
ATOMIC_SPECIES
Mg 24.30 Mg.upf
Cr 52.00 Cr.upf
S 32.06 S.upf
CELL_PARAMETERS angstrom
6.255 0.000 0.000
0.000 4.247 0.000
-0.806 0.000 13.830
ATOMIC_POSITIONS crystal
Mg 0.000 0.000 0.000
Cr 0.372 0.000 0.547
Cr 0.378 0.000 0.846
Cr 0.543 0.500 0.053
Cr 0.593 0.500 0.354
S 0.041 0.000 0.826
S 0.054 0.000 0.537
S 0.414 0.000 0.023
S 0.456 0.500 0.210
S 0.468 0.000 0.698
S 0.487 0.000 0.392
S 0.504 0.500 0.519
S 0.512 0.500 0.882
S 0.902 0.500 0.077
S 0.912 0.500 0.350

Question: Which formula does entry 4 have?
Answer: MgCrS2

Question: Which value of size of the total moment does entry 4 give?
Answer: 1.00 μB/atom

Question: Which formula does entry 5 have?
Answer: MgCr4S8